Here is a relaxed structure of Fe4P3O12 from Materials Project. Energies are from GGA+U.

Cell: 8.8533 8.8533 6.5625 Å, 106.87 106.87 92.77°
Closest atoms and distances in Å follow each position.
Positions (direct):
Fe (0.0032, 0.9968, 0.5000)  4 O 1.96-2.14
Fe (0.1421, 0.4296, 0.6234)  5 O 2.00-2.20
Fe (0.2510, 0.7420, 0.4930)  5 O 2.08-2.20
Fe (0.4296, 0.1421, 0.1234)  5 O 2.00-2.20
Fe (0.5556, 0.8643, 0.3577)  6 O 1.93-2.11
Fe (0.7420, 0.2510, 0.9930)  5 O 2.08-2.20
Fe (0.8643, 0.5556, 0.8577)  6 O 1.93-2.11
Fe (0.9968, 0.0032, 0.0000)  4 O 1.96-2.14
P (0.1369, 0.3754, 0.1088)  4 O 1.51-1.59
P (0.2052, 0.7842, 0.9920)  4 O 1.53-1.59
P (0.3754, 0.1369, 0.6088)  4 O 1.51-1.59
P (0.6267, 0.8405, 0.8693)  4 O 1.53-1.56
P (0.7842, 0.2052, 0.4920)  4 O 1.53-1.59
P (0.8405, 0.6267, 0.3693)  4 O 1.53-1.56
O (0.0264, 0.7631, 0.9919)  1 P 1.59
O (0.0737, 0.4597, 0.9275)  1 P 1.57
O (0.1679, 0.4988, 0.3446)  1 P 1.55
O (0.2215, 0.9637, 0.0021)  1 P 1.57
O (0.2297, 0.6776, 0.7774)  1 P 1.53
O (0.2380, 0.9994, 0.5681)  1 P 1.59
O (0.2846, 0.3044, 0.0803)  1 P 1.51
O (0.3044, 0.2846, 0.5803)  1 P 1.51
O (0.3187, 0.7571, 0.2045)  1 P 1.55
O (0.4597, 0.0737, 0.4275)  1 P 1.57
O (0.4988, 0.1679, 0.8446)  1 P 1.55
O (0.5056, 0.8255, 0.6347)  1 P 1.56
O (0.5418, 0.8862, 0.0509)  1 P 1.55
O (0.6776, 0.2297, 0.2774)  1 P 1.53
O (0.6828, 0.6935, 0.3595)  1 P 1.53
O (0.6935, 0.6828, 0.8595)  1 P 1.53
O (0.7571, 0.3187, 0.7045)  1 P 1.55
O (0.7631, 0.0264, 0.4919)  1 P 1.59
O (0.7643, 0.9788, 0.9275)  1 P 1.56
O (0.8255, 0.5056, 0.1347)  1 P 1.56
O (0.8862, 0.5418, 0.5509)  1 P 1.55
O (0.9637, 0.2215, 0.5021)  1 P 1.57
O (0.9788, 0.7643, 0.4275)  1 P 1.56
O (0.9994, 0.2380, 0.0681)  1 P 1.59

ΔE_f = -221 kJ/mol of atoms
excess energy over the best structure of this formula in the dataset = 0 meV per atom

Here is a relaxed structure of FeP2O7 from Materials Project. Energies are from GGA+U.

Cell: 8.7455 5.1527 13.6823 Å, 90.00 115.54 90.00°
Closest atoms and distances in Å follow each position.
Positions (direct):
Fe (0.2329, 0.2457, 0.4748)  6 O 1.99-2.02
Fe (0.2329, 0.2543, 0.9748)  6 O 1.99-2.02
Fe (0.7671, 0.7457, 0.0252)  6 O 1.99-2.02
Fe (0.7671, 0.7543, 0.5252)  6 O 1.99-2.02
P (0.1864, 0.7461, 0.1188)  4 O 1.52-1.61
P (0.1864, 0.7539, 0.6188)  4 O 1.52-1.61
P (0.3346, 0.7446, 0.3629)  4 O 1.53-1.60
P (0.3346, 0.7554, 0.8629)  4 O 1.53-1.60
P (0.6654, 0.2446, 0.1371)  4 O 1.53-1.60
P (0.6654, 0.2554, 0.6371)  4 O 1.53-1.60
P (0.8136, 0.2461, 0.3812)  4 O 1.52-1.61
P (0.8136, 0.2539, 0.8812)  4 O 1.52-1.61
O (0.0130, 0.6827, 0.6124)  1 P 1.53
O (0.0130, 0.8173, 0.1124)  1 P 1.53
O (0.1907, 0.0348, 0.5840)  1 P 1.53
O (0.1907, 0.4652, 0.0840)  1 P 1.53
O (0.2163, 0.5608, 0.8794)  1 P 1.53
O (0.2163, 0.9392, 0.3794)  1 P 1.53
O (0.2529, 0.5675, 0.5599)  1 P 1.52
O (0.2529, 0.9325, 0.0599)  1 P 1.52
O (0.2909, 0.0379, 0.8727)  1 P 1.53
O (0.2909, 0.4621, 0.3727)  1 P 1.53
O (0.3220, 0.7253, 0.7432)  2 P 1.60-1.61
O (0.3220, 0.7747, 0.2432)  2 P 1.60-1.61
O (0.4819, 0.1847, 0.5628)  1 P 1.53
O (0.4819, 0.3153, 0.0628)  1 P 1.53
O (0.5181, 0.6847, 0.9372)  1 P 1.53
O (0.5181, 0.8153, 0.4372)  1 P 1.53
O (0.6780, 0.2253, 0.7568)  2 P 1.60-1.61
O (0.6780, 0.2747, 0.2568)  2 P 1.60-1.61
O (0.7091, 0.5379, 0.6273)  1 P 1.53
O (0.7091, 0.9621, 0.1273)  1 P 1.53
O (0.7471, 0.0675, 0.9401)  1 P 1.52
O (0.7471, 0.4325, 0.4401)  1 P 1.52
O (0.7837, 0.0608, 0.6206)  1 P 1.53
O (0.7837, 0.4392, 0.1206)  1 P 1.53
O (0.8093, 0.5348, 0.9160)  1 P 1.53
O (0.8093, 0.9652, 0.4160)  1 P 1.53
O (0.9870, 0.1827, 0.8876)  1 P 1.53
O (0.9870, 0.3173, 0.3876)  1 P 1.53

ΔE_f = -218 kJ/mol of atoms
excess energy over the best structure of this formula in the dataset = 5 meV per atom

Among the records above, which one has the highest excess energy over the best structure of this formula in the dataset? FeP2O7